First-principles (r2SCAN) data for a relaxed NdAu3 crystal, as listed in the Materials Project database.

The value obtained for the formation energy is -0.70 eV per atom. The volume comes out at 86 Å³ per cell. Its space-group type is Fm-3m (225).

a = 4.951 Å, b = 4.951 Å, c = 4.951 Å
α = 60.00°, β = 60.00°, γ = 60.00°
Positions (direct):
Au 0.500 0.500 0.500
Au 0.250 0.250 0.250
Au 0.000 0.000 0.000
Nd 0.750 0.750 0.750